(one)
Below is an optimized crystal structure of MnS2O8, with properties calculated at the PBE with a Hubbard U level.

```
MnS2O8
1.0
7.825 -4.141 0.000
7.825 4.141 0.000
5.633 0.000 6.830
S O Mn
6 24 3
Cartesian
8.759 -2.948 3.190
11.561 -1.168 6.520
8.144 1.787 5.105
13.096 -1.733 1.736
12.478 2.901 3.662
9.704 1.161 0.244
10.862 0.178 0.153
12.505 1.560 4.387
11.961 -2.558 1.978
14.729 -1.640 4.639
10.098 2.520 0.034
11.214 -2.622 6.682
14.257 0.748 6.111
11.866 3.854 4.651
10.472 -0.255 6.618
9.360 2.659 4.832
13.081 -0.471 2.592
13.254 -1.231 0.326
9.366 -3.904 2.317
9.140 0.946 1.611
6.089 -0.784 3.576
11.826 2.813 2.399
6.590 1.730 2.017
8.313 0.617 4.189
7.005 -0.945 0.724
15.125 0.892 3.406
9.455 -2.837 4.538
12.256 -1.088 5.165
8.032 1.384 6.473
8.813 -1.563 2.629
13.709 0.000 4.399
7.494 0.000 2.405
18.051 0.000 5.793
```

Results
**Theoretical density**: 2.78 g/cm3
**Space-group type**: R3

(two)
Below is an optimized crystal structure of MnS2O8, with properties calculated at the PBE with a Hubbard U level.

```
MnS2O8
1.0
1.038 4.582 -7.466
-5.115 -0.843 -7.137
-5.596 6.171 -2.899
O S Mn
24 6 3
Cartesian
-4.314 3.444 -4.406
-7.079 5.816 -9.436
-0.763 4.241 -9.510
-5.129 7.373 -5.323
-6.725 8.319 -11.332
-6.220 2.506 -10.360
-4.624 7.050 -10.094
-6.683 1.270 -7.920
-5.266 4.519 -11.172
0.518 3.247 -5.107
-7.286 3.579 -7.243
-2.663 4.027 -8.017
-4.320 5.334 -6.361
-2.943 1.568 -6.226
-3.491 7.385 -7.185
-3.895 4.123 -2.172
-1.655 4.120 -5.493
-2.781 2.926 -10.102
-2.366 6.360 -10.308
-5.420 6.476 -13.098
-6.930 7.031 -7.405
-8.004 5.848 -12.025
-5.017 2.934 -7.335
-3.413 -0.413 -5.007
-7.869 6.547 -8.496
-3.325 7.528 -10.452
-3.912 6.700 -5.886
-5.683 3.217 -11.590
-1.794 3.283 -8.991
-6.368 2.388 -6.970
-1.483 1.520 -2.684
-3.422 3.506 -6.191
-8.201 8.402 -14.838
```

Results
**Theoretical density**: 2.83 g/cm3
**Space-group type**: R3

Ranked by calculated energy, most stable first: (two), (one).

(one)
Below is an optimized crystal structure of UMnS2O15, with properties calculated at the PBE with a Hubbard U level.

```
UMnS2O15
1.0
-3.008 -10.648 3.221
6.065 -1.738 -0.081
0.827 2.255 8.227
O U S Mn
30 2 4 2
Cartesian
-1.520 -9.598 4.005
1.645 -5.422 1.519
3.005 -1.412 1.293
5.898 -1.565 2.280
3.361 -6.663 3.729
-0.875 -5.813 5.205
-0.110 -7.157 7.935
2.469 -10.262 4.074
3.881 -3.374 3.553
3.125 -1.772 7.335
5.588 -1.383 5.274
-0.027 -2.343 1.736
5.931 -0.472 7.533
0.764 -8.341 4.026
2.788 -7.503 6.916
0.719 -2.333 8.038
2.193 -4.372 7.029
-0.404 -4.008 3.705
-2.073 -8.389 6.073
-0.794 -4.247 7.780
4.027 -7.375 9.505
-1.061 -6.171 2.778
1.922 -5.025 8.956
1.735 0.823 6.340
4.494 -3.751 8.334
0.359 -10.473 5.763
1.130 -8.634 11.034
3.263 -9.751 8.759
5.253 -4.231 6.046
1.360 -1.695 4.168
-1.683 -6.441 7.449
5.655 -3.375 3.822
-0.617 -2.784 7.563
3.474 -10.980 4.903
-1.256 -5.223 3.902
6.391 -0.475 6.124
2.604 -3.074 8.070
0.479 -9.894 4.154
```

Results
**Theoretical density**: 3.18 g/cm3
**Space-group type**: P2_1

(two)
Below is an optimized crystal structure of UMnS2O15, with properties calculated at the PBE with a Hubbard U level.

```
UMnS2O15
1.0
-6.264 0.000 0.003
-0.125 0.000 -8.825
0.000 -11.489 0.000
O S U Mn
30 4 2 2
Cartesian
-1.201 -4.607 -7.560
-3.329 -5.297 -8.731
-3.248 -7.199 -8.247
-3.140 -1.455 -0.575
-0.377 -4.148 -5.302
-1.343 -6.250 -2.135
-5.183 -4.116 -7.273
-3.028 -2.809 -7.256
-5.665 -7.006 -3.452
-3.360 -8.553 -1.566
-5.187 -10.352 -1.262
-0.719 -10.523 -6.213
-1.769 -2.983 -2.970
-1.743 -8.039 -4.913
-6.051 -6.226 -6.379
-0.724 -1.262 -5.370
-3.185 -11.039 -2.891
-6.011 -9.893 -3.520
-4.645 -2.295 -3.909
-3.060 -11.041 -0.091
-5.604 -2.707 -1.233
-1.206 -9.860 -1.549
-5.045 -0.506 -6.687
-5.621 -6.645 -1.016
-0.768 -0.900 -7.806
-0.338 -0.481 -2.443
-0.784 -8.452 -7.589
-3.204 -5.294 -5.931
-5.669 -4.779 -2.609
-4.619 -8.727 -5.852
-6.141 -6.175 -2.322
-0.049 -10.532 -2.231
-6.340 -4.788 -6.591
-0.248 -0.430 -6.500
-0.077 -2.632 -3.438
-6.311 -8.376 -5.384
-3.216 -4.414 -7.277
-3.173 -10.158 -1.545
```

Results
**Theoretical density**: 3.12 g/cm3
**Space-group type**: P2_1

Ranked by calculated energy, most stable first: (two), (one).